1.
18
Lattice="9.367 -4.221 0.000 9.367 4.221 0.000 -4.976 0.000 10.945" Properties=species:S:1:pos:R:3 comment="BaSr2I6 PBE optimized geometry" formation_enthalpy_0k_ev_per_fu=-17.83 final_energy_ev_per_cell=-60.003 pbc="T T T"
Ba 5.635 3.768 8.209
Ba 8.123 -3.768 2.736
Sr 4.938 0.471 3.968
Sr 2.450 -0.471 9.441
Sr 11.308 0.471 1.504
Sr 8.819 -0.471 6.977
I -0.419 0.900 8.573
I 8.708 2.169 0.137
I 3.678 1.185 6.894
I 7.538 2.169 5.335
I 2.069 -0.900 3.100
I 7.592 1.185 9.524
I 6.166 -1.185 1.421
I 11.688 0.900 7.844
I 6.220 -2.169 5.610
I 10.080 -1.185 4.051
I 5.049 -2.169 10.808
I 14.176 -0.900 2.372

2.
18
Lattice="7.888 0.000 0.000 0.000 7.888 0.000 0.000 0.000 15.269" Properties=species:S:1:pos:R:3 comment="BaSr2I6 PBE optimized geometry" formation_enthalpy_0k_ev_per_fu=-17.75 final_energy_ev_per_cell=-59.830 pbc="T T T"
Ba 0.000 0.000 0.000
Ba 3.944 3.944 7.634
Sr 0.000 0.000 5.073
Sr 0.000 0.000 10.196
Sr 3.944 3.944 2.562
Sr 3.944 3.944 12.707
I 1.495 1.495 7.634
I 1.591 1.591 2.648
I 1.591 1.591 12.621
I 2.353 5.535 4.987
I 2.353 5.535 10.282
I 2.450 5.439 0.000
I 5.439 2.450 0.000
I 5.535 2.353 4.987
I 5.535 2.353 10.282
I 6.298 6.298 2.648
I 6.298 6.298 12.621
I 6.394 6.394 7.634

3.
9
Lattice="8.371 0.000 0.000 -4.186 7.250 0.000 0.000 0.000 7.640" Properties=species:S:1:pos:R:3 comment="BaSr2I6 PBE optimized geometry" formation_enthalpy_0k_ev_per_fu=-17.80 final_energy_ev_per_cell=-29.965 pbc="T T T"
Ba 0.000 0.000 0.000
Sr 0.000 4.833 3.820
Sr 4.186 2.416 3.820
I -1.448 2.508 1.972
I -2.738 4.742 5.668
I 2.895 0.000 1.972
I 1.448 2.508 5.668
I 5.476 0.000 5.668
I 2.738 4.742 1.972

4.
40
Lattice="14.959 0.000 0.000 0.000 8.743 0.000 0.000 0.000 16.302" Properties=species:S:1:pos:R:3 comment="Ba2YI7 PBE optimized geometry" formation_enthalpy_0k_ev_per_fu=-18.28 final_energy_ev_per_cell=-146.393 pbc="T T T"
Ba 3.534 2.186 0.628
Ba 3.691 6.557 3.904
Ba 3.789 2.186 12.055
Ba 3.945 6.557 8.779
Ba 11.013 2.186 7.523
Ba 11.170 6.557 4.247
Ba 11.268 2.186 12.398
Ba 11.425 6.557 15.674
Y 0.933 6.557 12.852
Y 6.546 2.186 4.701
Y 8.413 6.557 11.601
Y 14.025 2.186 3.450
I 1.294 0.198 2.558
I 1.294 4.173 2.558
I 1.545 6.557 6.438
I 1.604 4.601 10.558
I 1.604 8.514 10.558
I 2.711 4.628 14.415
I 2.711 8.486 14.415
I 4.768 0.257 6.263
I 4.768 4.115 6.263
I 5.875 0.229 2.407
I 5.875 4.143 2.407
I 5.935 2.186 14.589
I 6.185 4.570 10.709
I 6.185 8.545 10.709
I 8.774 0.198 5.593
I 8.774 4.173 5.593
I 9.024 6.557 1.713
I 9.084 4.601 13.896
I 9.084 8.514 13.896
I 10.190 4.628 10.039
I 10.190 8.486 10.039
I 12.248 0.257 1.888
I 12.248 4.115 1.888
I 13.354 0.229 5.744
I 13.354 4.143 5.744
I 13.414 2.186 9.864
I 13.664 4.570 13.744
I 13.664 8.545 13.744

5.
28
Lattice="8.202 0.000 0.000 0.000 14.585 0.000 -0.944 0.000 10.987" Properties=species:S:1:pos:R:3 comment="BaYI5 PBE optimized geometry" formation_enthalpy_0k_ev_per_fu=-12.35 final_energy_ev_per_cell=-105.859 pbc="T T T"
Ba 0.281 0.000 1.957
Ba 2.944 4.867 4.094
Ba 4.314 12.159 6.893
Ba 6.978 7.292 9.030
Y -0.372 8.460 4.447
Y 3.943 10.050 1.391
Y 3.315 2.758 9.596
Y 7.630 1.168 6.540
I -0.169 3.137 4.255
I 0.455 6.652 2.198
I 0.489 3.425 8.370
I 0.744 9.728 10.486
I 1.384 6.957 6.453
I 1.683 14.232 5.141
I 2.551 2.704 1.240
I 2.428 10.095 4.158
I 2.660 14.508 8.904
I 3.425 12.993 1.506
I 3.833 5.700 9.481
I 4.599 7.216 2.083
I 4.831 2.802 6.830
I 4.708 9.996 9.747
I 5.575 6.940 5.846
I 5.875 14.250 4.534
I 6.514 2.435 0.501
I 6.770 10.717 2.618
I 6.804 13.944 8.789
I 7.428 10.429 6.732

6.
40
Lattice="10.860 -7.296 0.000 10.860 7.296 0.000 -7.196 0.000 11.529" Properties=species:S:1:pos:R:3 comment="Ba2YI7 PBE optimized geometry" formation_enthalpy_0k_ev_per_fu=-18.70 final_energy_ev_per_cell=-148.071 pbc="T T T"
Ba 2.348 4.662 10.984
Ba 8.578 4.662 6.310
Ba 4.507 0.875 6.023
Ba 8.105 -0.875 0.259
Ba 6.419 0.875 11.270
Ba 10.017 -0.875 5.506
Ba 5.946 -4.662 5.219
Ba 12.176 -4.662 0.545
Y -1.097 2.322 7.742
Y 2.501 -2.322 1.977
Y 12.023 2.322 9.552
Y 15.621 -2.322 3.787
I 2.552 2.837 3.909
I -3.471 0.409 7.821
I 0.127 -0.409 2.056
I 5.070 4.372 6.744
I -0.408 2.303 10.737
I 4.151 0.030 1.135
I 0.553 -0.030 6.899
I 6.988 2.871 3.532
I 5.856 4.372 10.550
I 3.411 1.209 9.646
I 11.134 2.871 2.232
I -1.046 -2.837 9.673
I 3.190 -2.303 4.973
I 7.516 1.209 7.648
I 7.009 -1.209 3.881
I 11.334 2.303 6.557
I 15.571 2.837 1.856
I 3.390 -2.871 9.297
I 11.114 -1.209 1.884
I 8.668 -4.372 0.980
I 7.536 -2.871 7.997
I 13.971 0.030 4.630
I 10.373 -0.030 10.395
I 14.932 -2.303 0.792
I 9.454 -4.372 4.785
I 14.398 0.409 9.473
I 17.996 -0.409 3.708
I 11.973 -2.837 7.620

7.
56
Lattice="8.271 0.000 0.000 0.000 27.057 0.000 -8.073 0.000 11.572" Properties=species:S:1:pos:R:3 comment="BaYI5 PBE optimized geometry" formation_enthalpy_0k_ev_per_fu=-12.57 final_energy_ev_per_cell=-213.408 pbc="T T T"
Ba -2.709 6.495 5.652
Ba -6.746 7.033 11.438
Ba -4.750 14.286 8.673
Ba -0.714 26.299 2.887
Ba 0.911 0.758 8.685
Ba 4.947 12.770 2.899
Ba 6.943 20.023 0.134
Ba 2.906 20.562 5.920
Y -1.951 17.005 5.127
Y -5.988 23.580 10.913
Y 1.965 16.588 1.263
Y -2.071 23.997 7.050
Y 2.269 3.059 4.523
Y -1.768 10.469 10.309
Y 6.185 3.477 0.660
Y 2.148 10.052 6.446
I -2.623 19.649 3.801
I -6.660 20.936 9.587
I -4.384 3.382 6.989
I -0.347 10.146 1.202
I -0.672 15.572 2.715
I -4.709 25.013 8.501
I -3.803 17.579 7.459
I 0.233 23.006 1.673
I 0.580 2.450 2.027
I -3.457 11.078 7.813
I -1.957 14.175 6.228
I 2.079 26.410 0.442
I 2.258 13.622 0.636
I -1.778 26.963 6.422
I 1.368 19.295 2.397
I -2.669 21.290 8.183
I -4.393 4.377 10.972
I -0.356 9.151 5.186
I -0.251 3.888 5.893
I 3.785 9.641 0.107
I -3.588 17.416 11.465
I 0.449 23.169 5.679
I 0.554 17.905 6.386
I 4.590 22.680 0.600
I 2.866 5.767 3.389
I -1.171 7.761 9.176
I 1.976 0.094 5.150
I -2.061 13.434 10.936
I -1.882 0.647 11.130
I 2.155 12.881 5.344
I 3.654 15.978 3.759
I -0.382 24.607 9.545
I -0.036 4.051 9.899
I 4.000 9.477 4.113
I 4.906 2.043 3.071
I 0.870 11.485 8.857
I 0.544 16.910 10.370
I 4.581 23.675 4.584
I 6.857 6.120 1.985
I 2.820 7.408 7.771

8.
40
Lattice="9.454 0.000 0.000 0.000 15.266 0.000 -9.077 0.000 15.234" Properties=species:S:1:pos:R:3 comment="Ba2YI7 PBE optimized geometry" formation_enthalpy_0k_ev_per_fu=-18.46 final_energy_ev_per_cell=-147.136 pbc="T T T"
Ba -1.672 3.153 3.779
Ba -6.211 4.480 11.396
Ba -1.640 11.159 8.291
Ba 2.899 11.741 0.675
Ba -2.522 3.526 14.559
Ba 2.017 4.108 6.942
Ba 6.587 10.786 3.838
Ba 2.049 12.113 11.454
Y 2.621 2.984 2.512
Y -1.918 4.650 10.129
Y 2.294 10.617 5.105
Y -2.244 12.283 12.722
I 0.061 1.950 1.031
I -4.478 5.683 8.648
I -6.611 9.494 13.528
I -2.072 13.406 5.911
I -4.206 11.253 10.559
I 0.332 11.647 2.942
I -1.402 3.326 7.397
I -5.940 4.307 15.014
I -0.229 8.957 5.809
I -4.768 13.943 13.426
I -3.462 2.295 11.273
I 1.076 5.338 3.656
I 1.367 1.340 4.734
I -3.172 6.293 12.351
I 3.549 8.974 2.882
I -0.990 13.926 10.499
I -0.700 9.929 11.577
I 3.839 12.971 3.961
I 5.144 1.324 1.807
I 0.606 6.310 9.424
I 6.317 10.959 0.220
I 1.779 11.941 7.837
I 0.045 3.620 12.291
I 4.583 4.014 4.674
I 2.449 1.861 9.322
I 6.988 5.772 1.705
I 4.855 9.584 6.586
I 0.316 13.316 14.203